Material: LiFeH8S2O12
Method: DFT, PBE with a Hubbard U
State: relaxed

Cell and atoms, written as POSCAR:
```
LiFeH8S2O12
1.0
9.548 0.000 0.000
0.000 9.182 0.000
-1.306 0.000 11.634
Li Fe H S O
4 4 32 8 48
Direct
0.228 0.209 0.309
0.228 0.291 0.809
0.772 0.709 0.191
0.772 0.791 0.691
0.000 0.000 0.500
0.000 0.500 0.000
0.500 0.000 0.000
0.500 0.500 0.500
0.104 0.747 0.094
0.104 0.753 0.594
0.108 0.245 0.580
0.108 0.255 0.080
0.225 0.007 0.943
0.225 0.493 0.443
0.231 0.633 0.098
0.231 0.867 0.598
0.237 0.529 0.578
0.237 0.971 0.078
0.243 0.145 0.574
0.243 0.355 0.074
0.451 0.722 0.061
0.451 0.778 0.561
0.478 0.220 0.561
0.478 0.280 0.061
0.522 0.720 0.939
0.522 0.780 0.439
0.549 0.222 0.439
0.549 0.278 0.939
0.757 0.645 0.926
0.757 0.855 0.426
0.763 0.029 0.922
0.763 0.471 0.422
0.769 0.133 0.402
0.769 0.367 0.902
0.775 0.507 0.557
0.775 0.993 0.057
0.892 0.745 0.920
0.892 0.755 0.420
0.896 0.247 0.406
0.896 0.253 0.906
0.026 0.501 0.717
0.026 0.999 0.217
0.468 0.510 0.207
0.468 0.990 0.707
0.532 0.010 0.293
0.532 0.490 0.793
0.974 0.001 0.783
0.974 0.499 0.283
0.065 0.154 0.198
0.065 0.346 0.698
0.067 0.531 0.843
0.067 0.969 0.343
0.112 0.596 0.650
0.112 0.904 0.150
0.126 0.032 0.813
0.126 0.468 0.313
0.133 0.654 0.057
0.133 0.846 0.557
0.149 0.169 0.531
0.149 0.331 0.031
0.289 0.012 0.016
0.289 0.488 0.516
0.380 0.635 0.158
0.380 0.865 0.658
0.385 0.032 0.314
0.385 0.468 0.814
0.405 0.129 0.657
0.405 0.371 0.157
0.454 0.503 0.333
0.454 0.997 0.833
0.499 0.220 0.994
0.499 0.280 0.494
0.501 0.720 0.506
0.501 0.780 0.006
0.546 0.003 0.167
0.546 0.497 0.667
0.595 0.629 0.843
0.595 0.871 0.343
0.615 0.532 0.186
0.615 0.968 0.686
0.620 0.135 0.342
0.620 0.365 0.842
0.711 0.512 0.484
0.711 0.988 0.984
0.851 0.669 0.969
0.851 0.831 0.469
0.867 0.154 0.443
0.867 0.346 0.943
0.874 0.532 0.687
0.874 0.968 0.187
0.888 0.096 0.850
0.888 0.404 0.350
0.933 0.031 0.657
0.933 0.469 0.157
0.935 0.654 0.302
0.935 0.846 0.802
```

Values from the calculation:
Energy: -531.51 eV per cell
Formation enthalpy at 0 K: -1592 meV per atom
Magnetic moment: 20.0 Bohr magnetons per cell
Space group: P2_1/c, No. 14